Here is Rb2S5 after structural relaxation from the Materials Project. Energies are from PBE-GGA.

Computed properties:
- Energy of formation: -0.9560 eV/atom
- Volume: 32.112 Å³/atom

Lattice parameters (Å, degrees): 6.7918 6.8528 19.3184 90.00 90.00 90.00
Fractional positions:
S  0.7568  0.1233  0.3640
S  0.9661  0.2983  0.6483
S  0.0685  0.0902  0.1351
S  0.0904  0.5826  0.4553
S  0.0592  0.8223  0.1865
S  0.4096  0.4174  0.9553
S  0.5904  0.9174  0.5447
S  0.9315  0.5902  0.3649
S  0.4661  0.2017  0.3517
S  0.9408  0.3223  0.3135
S  0.5339  0.7017  0.1483
S  0.2568  0.3767  0.6360
S  0.0339  0.7983  0.8517
S  0.5685  0.4098  0.8649
S  0.2432  0.6233  0.1360
S  0.4408  0.1777  0.6865
S  0.4315  0.9098  0.6351
S  0.5592  0.6777  0.8135
S  0.9096  0.0826  0.0447
S  0.7432  0.8767  0.8640
Rb  0.4115  0.7048  0.3214
Rb  0.3636  0.9256  0.9914
Rb  0.0885  0.2952  0.8214
Rb  0.8636  0.5744  0.0086
Rb  0.5885  0.2048  0.1786
Rb  0.1364  0.0744  0.4914
Rb  0.6364  0.4256  0.5086
Rb  0.9115  0.7952  0.6786